[1]
Computed, not measured: a geometry-optimized Y4MgPt structure at the PBE level of DFT.

The mass density comes out at 5.73 g cm⁻³. Its formation energy is -0.52 eV per atom.

Lattice parameters (Å, degrees): 13.8691 13.8691 13.8691 90.00 90.00 90.00
Closest atoms and distances in Å follow each position.
Space group F-43m (No. 216)
One atom of each set of equivalent atoms:
Y 0.0000 0.0000 0.1844 x24  2 Mg 3.34, 2 Pt 3.57, 10 Y 3.58-3.69
Y 0.0616 0.2500 0.7500 x24  2 Pt 2.87
Y 0.0998 0.0998 0.4002 x16  3 Pt 2.88
Mg 0.1698 0.1698 0.1698 x16  3 Mg 3.14, 6 Y 3.34-3.48
Pt 0.1075 0.1075 0.6075 x16  6 Y 2.87-2.88


[2]
Computed, not measured: a geometry-optimized Ga2Te3 structure at the PBE level of DFT.

The total magnetization comes out at 0.00 μB per formula unit. The mass density comes out at 3.80 g cm⁻³. Its formation energy is -0.39 eV per atom.

Lattice parameters (Å, degrees): 14.5276 4.1924 7.5848 90.00 98.39 90.00
Closest atoms and distances in Å follow each position.
Space group Cm (No. 8)
One atom of each set of equivalent atoms:
Ga 0.0000 0.0000 0.0000 x2  4 Te 2.62-2.88
Ga 0.2070 0.0000 0.8088 x2  3 Te 2.54-2.63
Te 0.0206 0.5000 0.2089 x2  2 Ga 2.62
Te 0.0372 0.0000 0.6704 x2  2 Ga 2.54-2.63
Te 0.2995 0.5000 0.9480 x2  3 Ga 2.63-2.88


Question: What is the mass density in the first record?
Answer: 5.73 g cm⁻³